(1)
# Ce3Cd, optimized geometry, DFT PBE
# ΔE_f: -0.1 eV/f.u.
# magnetization: 0.6909 μB per atom
data_Ce3Cd
_space_group_name_H-M_alt 'I 4/m m m'
_space_group_IT_number 139
_space_group_name_Hall '-I 4 2'
_cell_length_a 4.750
_cell_length_b 4.750
_cell_length_c 9.778
_cell_angle_alpha 90.00
_cell_angle_beta 90.00
_cell_angle_gamma 90.00
loop_
_atom_site_label
_atom_site_type_symbol
_atom_site_fract_x
_atom_site_fract_y
_atom_site_fract_z
_atom_site_occupancy
Ce1 Ce 0.000 0.000 0.000 1
Ce2 Ce 0.000 0.500 0.250 1
Cd1 Cd 0.000 0.000 0.500 1


(2)
# CeCd2, optimized geometry, DFT PBE
# ΔE_f: 0.5 eV/f.u.
# magnetization: 0.6309 μB per atom
data_CeCd2
_space_group_name_H-M_alt 'P -3 m 1'
_space_group_IT_number 164
_space_group_name_Hall '-P 3 2"'
_cell_length_a 5.5957
_cell_length_b 5.5957
_cell_length_c 3.0862
_cell_angle_alpha 90.00
_cell_angle_beta 90.00
_cell_angle_gamma 120.00
loop_
_atom_site_label
_atom_site_type_symbol
_atom_site_fract_x
_atom_site_fract_y
_atom_site_fract_z
_atom_site_occupancy
Ce1 Ce 0.0000 0.0000 0.0000 1
Cd1 Cd 0.3333 0.6667 0.9442 1


(3)
# CeCd2, optimized geometry, DFT PBE
# ΔE_f: -0.8 eV/f.u.
data_CeCd2
_space_group_name_H-M_alt 'P 6/m m m'
_space_group_IT_number 191
_space_group_name_Hall '-P 6 2'
_cell_length_a 5.1632
_cell_length_b 5.1632
_cell_length_c 3.3028
_cell_angle_alpha 90.00
_cell_angle_beta 90.00
_cell_angle_gamma 120.00
loop_
_atom_site_label
_atom_site_type_symbol
_atom_site_fract_x
_atom_site_fract_y
_atom_site_fract_z
_atom_site_occupancy
Ce1 Ce 0.0000 0.0000 0.0000 1
Cd1 Cd 0.3333 0.6667 0.5000 1


(4)
# CeCd11, optimized geometry, DFT PBE
# ΔE_f: -1.4 eV/f.u.
data_CeCd11
_space_group_name_H-M_alt 'P m -3 m'
_space_group_IT_number 221
_space_group_name_Hall '-P 4 2 3'
_cell_length_a 9.510
_cell_length_b 9.510
_cell_length_c 9.510
_cell_angle_alpha 90.00
_cell_angle_beta 90.00
_cell_angle_gamma 90.00
loop_
_atom_site_label
_atom_site_type_symbol
_atom_site_fract_x
_atom_site_fract_y
_atom_site_fract_z
_atom_site_occupancy
Ce1 Ce 0.000 0.000 0.500 1
Cd1 Cd 0.000 0.345 0.345 1
Cd2 Cd 0.155 0.155 0.155 1
Cd3 Cd 0.267 0.267 0.500 1
Cd4 Cd 0.500 0.500 0.500 1


(5)
# CeCd, optimized geometry, DFT PBE
# ΔE_f: -0.2 eV/f.u.
# magnetization: 0.6254 μB per atom
data_CeCd
_space_group_name_H-M_alt 'P m -3 m'
_space_group_IT_number 221
_space_group_name_Hall '-P 4 2 3'
_cell_length_a 3.850
_cell_length_b 3.850
_cell_length_c 3.850
_cell_angle_alpha 90.00
_cell_angle_beta 90.00
_cell_angle_gamma 90.00
loop_
_atom_site_label
_atom_site_type_symbol
_atom_site_fract_x
_atom_site_fract_y
_atom_site_fract_z
_atom_site_occupancy
Ce1 Ce 0.000 0.000 0.000 1
Cd1 Cd 0.500 0.500 0.500 1


(6)
# CeCdCu, optimized geometry, DFT PBE
# ΔE_f: -0.5 eV/f.u.
# magnetization: 0.1555 μB per atom
# distance to the lowest polymorph of the same formula: 0.000 eV/atom
data_CeCdCu
_space_group_name_H-M_alt 'P -6 2 m'
_space_group_IT_number 189
_space_group_name_Hall 'P -6 -2'
_cell_length_a 7.5207
_cell_length_b 7.5207
_cell_length_c 4.0755
_cell_angle_alpha 90.00
_cell_angle_beta 90.00
_cell_angle_gamma 120.00
loop_
_atom_site_label
_atom_site_type_symbol
_atom_site_fract_x
_atom_site_fract_y
_atom_site_fract_z
_atom_site_occupancy
Ce1 Ce 0.0000 0.5888 0.0000 1
Cd1 Cd 0.0000 0.2496 0.5000 1
Cu1 Cu 0.0000 0.0000 0.0000 1
Cu2 Cu 0.3333 0.6667 0.5000 1